(1)
Computed, not measured: an optimized crystal structure of Rb3InO3 at the PBE-GGA level of DFT.

Structure (CIF):
```
data_Rb3InO3
_chemical_formula_sum 'Rb12 In4 O12'
_space_group_name_H-M_alt 'P 1'
_space_group_IT_number 1
_cell_length_a 7.161
_cell_length_b 7.107
_cell_length_c 14.840
_cell_angle_alpha 90.00
_cell_angle_beta 118.30
_cell_angle_gamma 90.00
loop_
_space_group_symop_operation_xyz
'x,y,z'
loop_
_atom_site_label
_atom_site_type_symbol
_atom_site_fract_x
_atom_site_fract_y
_atom_site_fract_z
_atom_site_occupancy
Rb1 Rb 0.118 0.082 0.317 1
Rb2 Rb 0.118 0.418 0.817 1
Rb3 Rb 0.232 0.548 0.616 1
Rb4 Rb 0.232 0.952 0.116 1
Rb5 Rb 0.285 0.056 0.607 1
Rb6 Rb 0.285 0.444 0.107 1
Rb7 Rb 0.715 0.556 0.893 1
Rb8 Rb 0.715 0.944 0.393 1
Rb9 Rb 0.768 0.048 0.884 1
Rb10 Rb 0.768 0.452 0.384 1
Rb11 Rb 0.882 0.582 0.183 1
Rb12 Rb 0.882 0.918 0.683 1
In1 In 0.335 0.629 0.414 1
In2 In 0.335 0.871 0.914 1
In3 In 0.665 0.129 0.086 1
In4 In 0.665 0.371 0.586 1
O1 O 0.088 0.742 0.927 1
O2 O 0.088 0.758 0.427 1
O3 O 0.336 0.695 0.278 1
O4 O 0.336 0.805 0.778 1
O5 O 0.349 0.160 0.962 1
O6 O 0.349 0.340 0.462 1
O7 O 0.651 0.660 0.538 1
O8 O 0.651 0.840 0.038 1
O9 O 0.664 0.195 0.222 1
O10 O 0.664 0.305 0.722 1
O11 O 0.912 0.242 0.573 1
O12 O 0.912 0.258 0.073 1
```

Space-group type = P2_1/c, No. 14
Total DFT energy (no corrections) = -4.265 eV per atom


(2)
Computed, not measured: an optimized crystal structure of SrLiMg14 at the PBE-GGA level of DFT.

Structure (CIF):
```
data_SrLiMg14
_chemical_formula_sum 'Sr1 Li1 Mg14'
_space_group_name_H-M_alt 'P 1'
_space_group_IT_number 1
_cell_length_a 6.609
_cell_length_b 6.609
_cell_length_c 10.371
_cell_angle_alpha 90.00
_cell_angle_beta 90.00
_cell_angle_gamma 120.00
loop_
_space_group_symop_operation_xyz
'x,y,z'
loop_
_atom_site_label
_atom_site_type_symbol
_atom_site_fract_x
_atom_site_fract_y
_atom_site_fract_z
_atom_site_occupancy
Sr1 Sr 0.000 0.000 0.000 1
Li1 Li 0.000 0.000 0.500 1
Mg1 Mg 0.001 0.501 0.500 1
Mg2 Mg 0.008 0.504 0.000 1
Mg3 Mg 0.170 0.340 0.260 1
Mg4 Mg 0.170 0.340 0.740 1
Mg5 Mg 0.170 0.830 0.260 1
Mg6 Mg 0.170 0.830 0.740 1
Mg7 Mg 0.496 0.504 0.000 1
Mg8 Mg 0.496 0.992 0.000 1
Mg9 Mg 0.499 0.501 0.500 1
Mg10 Mg 0.499 0.999 0.500 1
Mg11 Mg 0.660 0.830 0.260 1
Mg12 Mg 0.660 0.830 0.740 1
Mg13 Mg 0.667 0.333 0.246 1
Mg14 Mg 0.667 0.333 0.754 1
```

M_tot = 0.0 μB per formula unit
Space-group type = P-6m2, No. 187
Total DFT energy (no corrections) = -1.587 eV per atom


(3)
Computed, not measured: an optimized crystal structure of TiNb at the PBE-GGA level of DFT.

Structure (CIF):
```
data_TiNb
_chemical_formula_sum 'Ti1 Nb1'
_space_group_name_H-M_alt 'P 1'
_space_group_IT_number 1
_cell_length_a 2.842
_cell_length_b 2.842
_cell_length_c 4.639
_cell_angle_alpha 90.00
_cell_angle_beta 90.00
_cell_angle_gamma 109.52
loop_
_space_group_symop_operation_xyz
'x,y,z'
loop_
_atom_site_label
_atom_site_type_symbol
_atom_site_fract_x
_atom_site_fract_y
_atom_site_fract_z
_atom_site_occupancy
Ti1 Ti 0.000 0.000 0.000 1
Nb1 Nb 0.500 0.500 0.500 1
```

Space-group type = Cmmm, No. 65
Total DFT energy (no corrections) = -8.964 eV per atom


(4)
Computed, not measured: an optimized crystal structure of FePtC6N6 at the PBE-GGA level of DFT.

Structure (CIF):
```
data_FePtC6N6
_chemical_formula_sum 'Fe1 Pt1 C6 N6'
_space_group_name_H-M_alt 'P 1'
_space_group_IT_number 1
_cell_length_a 7.174
_cell_length_b 7.174
_cell_length_c 7.174
_cell_angle_alpha 60.00
_cell_angle_beta 60.00
_cell_angle_gamma 60.00
loop_
_space_group_symop_operation_xyz
'x,y,z'
loop_
_atom_site_label
_atom_site_type_symbol
_atom_site_fract_x
_atom_site_fract_y
_atom_site_fract_z
_atom_site_occupancy
Fe1 Fe 0.000 0.000 0.000 1
Pt1 Pt 0.500 0.500 0.500 1
C1 C 0.301 0.301 0.699 1
C2 C 0.301 0.699 0.301 1
C3 C 0.301 0.699 0.699 1
C4 C 0.699 0.301 0.301 1
C5 C 0.699 0.301 0.699 1
C6 C 0.699 0.699 0.301 1
N1 N 0.186 0.186 0.814 1
N2 N 0.186 0.814 0.186 1
N3 N 0.186 0.814 0.814 1
N4 N 0.814 0.186 0.186 1
N5 N 0.814 0.186 0.814 1
N6 N 0.814 0.814 0.186 1
```

M_tot = 0.0 μB per formula unit
Space-group type = Fm-3m, No. 225
Total DFT energy (no corrections) = -8.265 eV per atom


(5)
Computed, not measured: an optimized crystal structure of Nb4NiS8 at the PBE-GGA level of DFT.

Structure (CIF):
```
data_Nb4NiS8
_chemical_formula_sum 'Nb8 Ni2 S16'
_space_group_name_H-M_alt 'P 1'
_space_group_IT_number 1
_cell_length_a 6.685
_cell_length_b 6.685
_cell_length_c 11.950
_cell_angle_alpha 90.00
_cell_angle_beta 90.00
_cell_angle_gamma 120.00
loop_
_space_group_symop_operation_xyz
'x,y,z'
loop_
_atom_site_label
_atom_site_type_symbol
_atom_site_fract_x
_atom_site_fract_y
_atom_site_fract_z
_atom_site_occupancy
Nb1 Nb 0.000 0.000 0.250 1
Nb2 Nb 0.000 0.000 0.750 1
Nb3 Nb 0.012 0.506 0.250 1
Nb4 Nb 0.494 0.506 0.250 1
Nb5 Nb 0.494 0.988 0.250 1
Nb6 Nb 0.506 0.012 0.750 1
Nb7 Nb 0.506 0.494 0.750 1
Nb8 Nb 0.988 0.494 0.750 1
Ni1 Ni 0.000 0.000 0.000 1
Ni2 Ni 0.000 0.000 0.500 1
S1 S 0.167 0.335 0.619 1
S2 S 0.167 0.335 0.881 1
S3 S 0.167 0.833 0.619 1
S4 S 0.167 0.833 0.881 1
S5 S 0.333 0.667 0.115 1
S6 S 0.333 0.667 0.385 1
S7 S 0.335 0.167 0.119 1
S8 S 0.335 0.167 0.381 1
S9 S 0.665 0.833 0.619 1
S10 S 0.665 0.833 0.881 1
S11 S 0.667 0.333 0.615 1
S12 S 0.667 0.333 0.885 1
S13 S 0.833 0.167 0.119 1
S14 S 0.833 0.167 0.381 1
S15 S 0.833 0.665 0.119 1
S16 S 0.833 0.665 0.381 1
```

Space-group type = P6_3/mmc, No. 194
Total DFT energy (no corrections) = -7.096 eV per atom


(6)
Computed, not measured: an optimized crystal structure of Ti2Ga at the PBE-GGA level of DFT.

Structure (CIF):
```
data_Ti2Ga
_chemical_formula_sum 'Ti2 Ga1'
_space_group_name_H-M_alt 'P 1'
_space_group_IT_number 1
_cell_length_a 4.406
_cell_length_b 4.406
_cell_length_c 4.406
_cell_angle_alpha 60.00
_cell_angle_beta 60.00
_cell_angle_gamma 60.00
loop_
_space_group_symop_operation_xyz
'x,y,z'
loop_
_atom_site_label
_atom_site_type_symbol
_atom_site_fract_x
_atom_site_fract_y
_atom_site_fract_z
_atom_site_occupancy
Ti1 Ti 0.000 0.000 0.000 1
Ti2 Ti 0.250 0.250 0.250 1
Ga1 Ga 0.500 0.500 0.500 1
```

M_tot = 3.0 μB per formula unit
Space-group type = F-43m, No. 216
Total DFT energy (no corrections) = -5.848 eV per atom


(7)
Computed, not measured: an optimized crystal structure of Cs2CeAgBr6 at the PBE-GGA level of DFT.

Structure (CIF):
```
data_Cs2CeAgBr6
_chemical_formula_sum 'Cs2 Ce1 Ag1 Br6'
_space_group_name_H-M_alt 'P 1'
_space_group_IT_number 1
_cell_length_a 8.194
_cell_length_b 8.194
_cell_length_c 8.194
_cell_angle_alpha 60.00
_cell_angle_beta 60.00
_cell_angle_gamma 60.00
loop_
_space_group_symop_operation_xyz
'x,y,z'
loop_
_atom_site_label
_atom_site_type_symbol
_atom_site_fract_x
_atom_site_fract_y
_atom_site_fract_z
_atom_site_occupancy
Cs1 Cs 0.250 0.250 0.250 1
Cs2 Cs 0.750 0.750 0.750 1
Ce1 Ce 0.000 0.000 0.000 1
Ag1 Ag 0.500 0.500 0.500 1
Br1 Br 0.251 0.251 0.749 1
Br2 Br 0.251 0.749 0.251 1
Br3 Br 0.251 0.749 0.749 1
Br4 Br 0.749 0.251 0.251 1
Br5 Br 0.749 0.251 0.749 1
Br6 Br 0.749 0.749 0.251 1
```

M_tot = 1.0 μB per formula unit
Space-group type = Fm-3m, No. 225
Total DFT energy (no corrections) = -3.608 eV per atom


(8)
Computed, not measured: an optimized crystal structure of Tl5Sb10As3S22 at the PBE-GGA level of DFT.

Structure (CIF):
```
data_Tl5Sb10As3S22
_chemical_formula_sum 'Tl5 Sb10 As3 S22'
_space_group_name_H-M_alt 'P 1'
_space_group_IT_number 1
_cell_length_a 7.656
_cell_length_b 8.862
_cell_length_c 17.997
_cell_angle_alpha 103.47
_cell_angle_beta 91.47
_cell_angle_gamma 109.77
loop_
_space_group_symop_operation_xyz
'x,y,z'
loop_
_atom_site_label
_atom_site_type_symbol
_atom_site_fract_x
_atom_site_fract_y
_atom_site_fract_z
_atom_site_occupancy
Tl1 Tl 0.000 0.000 0.000 1
Tl2 Tl 0.029 0.574 0.161 1
Tl3 Tl 0.461 0.289 0.371 1
Tl4 Tl 0.547 0.893 0.563 1
Tl5 Tl 0.915 0.393 0.808 1
Sb1 Sb 0.070 0.848 0.591 1
Sb2 Sb 0.095 0.313 0.578 1
Sb3 Sb 0.398 0.439 0.781 1
Sb4 Sb 0.473 0.823 0.983 1
Sb5 Sb 0.518 0.421 0.996 1
Sb6 Sb 0.546 0.713 0.203 1
Sb7 Sb 0.645 0.437 0.597 1
Sb8 Sb 0.810 0.846 0.775 1
Sb9 Sb 0.942 0.865 0.377 1
Sb10 Sb 0.993 0.466 0.394 1
As1 As 0.370 0.975 0.804 1
As2 As 0.495 0.190 0.153 1
As3 As 0.982 0.087 0.214 1
S1 S 0.144 0.361 0.277 1
S2 S 0.147 0.966 0.273 1
S3 S 0.193 0.742 0.382 1
S4 S 0.195 0.087 0.508 1
S5 S 0.227 0.791 0.875 1
S6 S 0.246 0.500 0.494 1
S7 S 0.262 0.536 0.981 1
S8 S 0.283 0.192 0.865 1
S9 S 0.303 0.915 0.094 1
S10 S 0.323 0.326 0.101 1
S11 S 0.506 0.674 0.697 1
S12 S 0.538 0.258 0.693 1
S13 S 0.675 0.062 0.856 1
S14 S 0.675 0.605 0.874 1
S15 S 0.714 0.590 0.278 1
S16 S 0.716 0.023 0.275 1
S17 S 0.729 0.720 0.093 1
S18 S 0.730 0.225 0.082 1
S19 S 0.776 0.219 0.513 1
S20 S 0.797 0.682 0.495 1
S21 S 0.925 0.026 0.676 1
S22 S 0.950 0.607 0.673 1
```

M_tot = 0.0 μB per formula unit
Space-group type = P1, No. 1
Total DFT energy (no corrections) = -4.224 eV per atom